# 1
The following is a DFT calculation (GGA-PBE) of a relaxed ZnCu2SiS4 crystal.

```
16
Lattice="6.4064 0.0000 0.0000 0.0000 6.1461 0.0000 0.0000 6.1434 7.4350" Properties=species:S:1:pos:R:3 pbc="T T T"
Zn 4.3263 6.6554 1.7030
S 5.2744 7.5886 7.2223
S 2.0930 7.4072 1.7544
Cu 4.3088 6.6289 5.3749
S 4.2965 4.3031 1.6023
S 4.3134 10.4789 5.4719
S 5.5063 7.4318 3.5642
S 1.1320 4.5169 3.5048
S 0.9001 10.5035 7.2817
Si 1.1168 6.6722 3.5372
Cu 0.9777 6.6608 7.2450
Cu 5.4287 3.5892 3.5274
Cu 2.0976 3.5572 1.6574
S 2.1099 7.3747 5.3198
Zn 2.0801 9.7271 5.4205
Si 5.2896 9.7439 7.2547
```

Properties
energy with MP2020 corrections: -4.7309 eV per atom
ΔE_f: -802 meV/atom
spin magnetization: 0.00 Bohr magnetons per cell
maximum piezoelectric response: 0.985 C/m²

***

# 2
The following is a DFT calculation (GGA-PBE) of a relaxed Fe2SbTe3 crystal.

```
6
Lattice="3.7431 0.0000 0.0000 0.0000 5.3761 0.0000 0.0000 0.0813 6.2882" Properties=species:S:1:pos:R:3 pbc="T T T"
Te 0.0000 1.2515 4.0330
Fe 1.8715 2.7518 3.1533
Te 0.0000 4.2117 2.2315
Sb 1.8715 1.5347 0.9159
Te 1.8715 3.9108 5.4140
Fe 0.0000 5.4404 6.2608
```

Properties
energy with MP2020 corrections: -5.4350 eV per atom
ΔE_f: -352 meV/atom

***

# 3
The following is a DFT calculation (GGA-PBE) of a relaxed BaEr2Si3O10 crystal.

```
32
Lattice="-9.8667 2.1281 -6.9552 1.9216 -3.3965 -3.7652 -2.4522 -6.2375 1.5702" Properties=species:S:1:pos:R:3 pbc="T T T"
O -3.5706 -4.2941 -5.9621
Si 0.2087 -3.5655 -2.7108
O -4.8628 -1.9324 -5.6834
O -3.4878 -2.8879 -3.6534
O -10.7661 -2.3621 -5.9650
O -2.7526 -5.4436 -3.1616
O -5.5345 -5.5734 -3.4668
O -1.3715 -3.3443 -2.1617
Si -10.6061 -3.9404 -6.4394
O 0.3688 -5.1438 -3.1852
Si -6.8819 -4.7437 -3.8141
O -8.7102 -1.1026 -8.3955
Er -9.3585 -0.5897 -6.3652
O -10.7862 -4.9219 -5.1530
O -8.2779 -5.4629 -3.3849
O 0.3889 -2.5840 -3.9971
O -9.0258 -4.1615 -6.9885
Si -3.5154 -2.7622 -5.3360
Er -1.0388 -6.9161 -2.7850
O -6.6100 -3.6598 -7.9454
Ba -2.0543 -0.3995 -2.6088
O -2.1194 -2.0430 -5.7653
O -7.6448 -2.0623 -5.9886
O -6.8268 -3.2117 -3.1881
Er -6.3822 -1.2317 -4.2671
Si -2.8614 -3.9397 -2.5471
Er -4.0151 -6.2742 -4.8830
O -1.6872 -6.4033 -0.7547
O -6.9096 -4.6180 -5.4967
O -3.7874 -3.8460 -1.2048
Ba -8.3430 -7.1064 -6.5414
Si -7.5360 -3.5661 -6.6031
```

Properties
energy with MP2020 corrections: -8.4181 eV per atom
ΔE_f: -3617 meV/atom

***

# 4
The following is a DFT calculation (GGA-PBE) of a relaxed LiHfMg14O15 crystal.

```
31
Lattice="-0.4721 2.5486 -8.1975 5.2284 -6.3970 -2.2899 -3.3986 -2.5626 -0.6010" Properties=species:S:1:pos:R:3 pbc="T T T"
Mg 0.9034 0.3956 -6.7957
O 3.6557 -3.4861 -5.8082
O 0.9149 -4.4795 -1.4463
Mg 1.1386 -0.9240 -2.4986
O 2.2592 -1.2819 -7.3097
O -2.1709 1.2649 -8.4905
Mg -0.4316 -2.8310 -0.8616
O 0.8781 0.8966 -8.7887
Mg 0.5568 -2.5464 -7.6644
Mg 3.6060 -2.9110 -7.9793
Mg 3.8652 -4.2600 -3.6927
O 0.6762 -3.1908 -5.5913
Mg -1.8131 -0.6671 -2.2762
O 1.1001 -0.3593 -4.6890
Mg 2.0409 -4.8741 -6.1320
Li 0.0000 0.0001 -0.0005
O -0.7414 -0.9794 -7.0045
O 2.1266 -5.4669 -4.0882
O -0.3490 1.8839 -6.0598
Mg 0.7999 -3.8586 -3.4434
Mg -2.0573 0.6516 -6.5179
O -0.5340 -2.2117 -2.9229
O 1.8652 -4.1686 -8.1461
Mg 2.1425 -0.6519 -9.3359
Hf 2.3816 -1.9428 -5.1839
Mg -0.6822 -1.5423 -4.9393
O -0.1233 0.6656 -2.1410
Mg 2.2607 -6.1250 -2.0407
Mg -0.2361 1.2748 -4.1003
O -1.9358 -0.0045 -4.4073
O 3.4062 -2.1965 -9.8959
```

Properties
energy with MP2020 corrections: -6.3617 eV per atom
ΔE_f: -2862 meV/atom
energy above the most stable polymorph in this dataset: 0.0074 eV per atom
spin magnetization: 0.33 Bohr magnetons per cell

***

# 5
The following is a DFT calculation (GGA-PBE) of a relaxed Li3BiB2O6 crystal.

```
48
Lattice="-6.1558 -6.7443 1.0224 2.0468 -1.1441 4.7768 -4.9587 5.9195 9.1919" Properties=species:S:1:pos:R:3 pbc="T T T"
Li -6.5379 -5.2391 6.4512
Li -3.2819 -2.1366 8.6651
O -1.9632 0.2874 5.4873
O -5.9725 0.4295 12.4227
O -5.0808 -0.9027 9.7242
O -5.0390 -5.7418 3.2157
B -2.9793 -0.5087 6.0376
O -4.8979 1.6891 7.0013
O -4.9364 -6.4207 5.5160
Li -5.7858 0.1677 6.3260
Li -0.3590 -0.9895 3.8515
O -5.2226 2.3925 10.2128
B -4.9272 -4.4802 8.8325
Li -0.4122 0.3789 1.2493
B -4.4616 3.5435 10.4679
O -6.7205 -3.4405 5.4277
O -7.3507 -1.4668 12.7023
B -4.1405 2.5113 6.1586
Li -4.0466 0.6465 8.6481
O -0.8601 -2.5753 5.1323
O -7.1045 -2.2563 9.5038
Li -6.2673 0.7335 10.5904
O -4.1698 -3.6580 7.9898
Li -5.0211 -2.6155 6.3430
O -3.8451 -4.3614 4.7783
O -3.0952 -2.3984 2.5684
B -2.5738 -1.4484 1.7143
O -8.2075 0.6064 9.8588
B -6.0884 -1.4602 8.9535
O -4.1313 4.4518 9.4751
Li -8.6554 -2.3478 13.7418
Li -8.7087 -0.9794 11.1397
Li -2.8004 -2.7024 4.4007
B -4.6061 -5.5124 4.5232
O -6.1019 -1.2302 7.5764
O -4.0286 3.7729 11.7754
Li -2.5298 3.2702 8.5399
O -3.9869 -1.0662 5.2669
O -3.1321 3.2373 6.7586
O -2.9657 -0.7387 7.4147
O -1.7170 -0.5021 2.2889
O -2.3472 1.4716 9.5634
B -6.4938 -0.5205 13.2768
Bi -4.7052 -3.8396 1.9551
O -5.9355 -5.2062 8.2325
Bi -4.3625 1.8707 13.0360
Bi -8.1266 -1.9120 6.7075
Bi -0.9411 -0.0569 8.2836
```

Properties
energy with MP2020 corrections: -6.8145 eV per atom
ΔE_f: -2426 meV/atom
energy above the most stable polymorph in this dataset: 0.0399 eV per atom
spin magnetization: 0.00 Bohr magnetons per cell

***

# 6
The following is a DFT calculation (GGA-PBE) of a relaxed CsFe2Sb2 crystal.

```
5
Lattice="8.8237 -4.2306 0.5208 6.1178 -6.1611 4.5433 -8.3183 3.2424 -4.0397" Properties=species:S:1:pos:R:3 pbc="T T T"
Cs 0.0000 0.0000 0.0000
Sb 9.7342 -6.7701 3.2992
Fe 3.9881 -3.0920 -0.4934
Fe 2.6351 -4.0572 1.5178
Sb 5.2072 -3.6216 1.7649
```

Properties
energy with MP2020 corrections: -5.3272 eV per atom
ΔE_f: -109 meV/atom
spin magnetization: 3.85 Bohr magnetons per cell

***

# 7
The following is a DFT calculation (GGA-PBE) of a relaxed KCa7Si3O12F3 crystal.

```
52
Lattice="2.0426 -0.8151 -10.7058 -8.8603 -4.7815 4.2523 -3.5400 5.5812 -1.1004" Properties=species:S:1:pos:R:3 pbc="T T T"
Si -8.1587 -2.0705 1.4356
O -8.5713 0.3374 -7.8248
Ca -2.3297 -2.6463 -8.1630
F -7.4480 1.7601 -3.1461
O -5.4150 0.7031 -1.1484
O -9.0076 -1.8579 2.8428
O -3.4515 -3.0430 -6.0673
O -2.3668 3.4998 -4.2321
O -5.9341 0.3792 -8.1675
F -9.8031 0.5376 -1.7707
O -6.9314 0.3269 -5.6409
Ca -1.2208 0.5840 -8.3022
F -4.0251 -0.4292 -4.8637
O -4.0987 4.2703 -2.2659
Ca -5.9563 2.9505 -1.4632
Ca -0.5400 0.8513 -0.1678
Si -2.7094 3.3464 -9.0191
Ca -2.2785 0.8539 -3.5304
Si -3.9502 3.5940 -3.7714
O -5.7760 -2.6874 -4.2474
Ca 0.3213 -0.4110 -5.3539
O -1.7655 4.2113 -10.0714
O -7.7528 -3.7169 -2.6938
O -0.5083 -1.4335 -7.3723
K -4.0320 1.7101 -6.4783
K -5.8963 -2.4027 -0.9420
O -1.2674 -1.2225 -3.8601
O -1.8108 3.0951 -7.6576
Si -3.8597 0.1924 -0.9171
O -7.7197 -1.1612 -3.1901
Ca -2.3100 3.6419 -0.7180
Ca -6.4358 0.5654 0.9379
F -7.8072 2.1131 -0.2001
Si -7.1506 0.8926 -7.1771
O -2.7025 1.3437 -1.2029
O -6.5564 -2.0659 1.8317
Ca -5.2304 -1.6149 -6.5558
O -8.3054 -0.8355 0.3463
O -3.7233 -0.4282 0.6075
Ca -9.1077 0.4091 -4.2149
Ca -9.3454 -1.7640 -1.5164
O -3.6551 -0.9909 -2.0496
Si -7.3846 -2.6271 -3.8775
O -8.3183 -3.0050 -5.1934
Ca -5.7888 0.1099 -3.4541
O -3.1815 1.9087 -9.6811
Ca -9.8786 0.8689 0.5972
Ca -3.3486 -2.4370 -3.8233
F -1.5496 0.9551 -5.8065
F -3.2706 -0.5205 -7.7542
O -8.5733 -3.4873 0.6945
O -4.6266 2.0903 -3.6954
```

Properties
energy with MP2020 corrections: -7.2127 eV per atom
ΔE_f: -3499 meV/atom
spin magnetization: 0.00 Bohr magnetons per cell

***

# 8
The following is a DFT calculation (GGA-PBE) of a relaxed NaTi3O6 crystal.

```
80
Lattice="-7.8777 -7.4404 -0.1676 4.5347 -4.6643 -6.0785 7.2933 -7.7839 2.7514" Properties=species:S:1:pos:R:3 pbc="T T T"
O 2.9497 -6.5624 -0.3377
Na -2.2298 -10.9109 -2.8578
Ti -3.3042 -6.0307 -1.0897
O 3.8792 -12.2862 0.3762
Na 4.5399 -7.2493 1.5700
O 1.0005 -13.3262 -3.1569
Ti -1.7788 -7.5861 -3.0674
O 4.5389 -8.1548 -2.2889
O 1.6115 -3.9871 -1.1738
O 6.7925 -8.3144 1.6990
O -5.8593 -8.4151 -1.1585
O -0.4024 -14.9514 -5.1122
O 0.0711 -7.6024 -3.8708
O 1.8414 -8.6720 -1.7368
Ti 5.8885 -7.8119 -3.7322
O 6.6381 -12.6055 -3.8658
Ti 1.9640 -8.2165 0.2347
O 4.3526 -4.9372 1.6175
Ti 2.8560 -4.5755 0.2611
O -2.0005 -10.2198 0.9725
Na 4.5931 -15.0804 -3.6562
O 0.5883 -9.6616 0.2768
Ti -0.4279 -13.6464 -1.7406
Na -0.6429 -4.8082 0.1616
Ti -1.1325 -8.5201 0.3158
O -1.9006 -13.3700 -3.1035
O 6.8914 -15.3987 -3.6588
O 0.3280 -10.4645 -3.6617
O 3.6223 -9.4240 0.1671
Na 1.0387 -6.4974 -2.0443
O 8.2980 -9.9099 -0.3013
Ti 1.9863 -11.6721 -3.7293
O -2.8422 -11.5742 -5.1937
Ti 3.4540 -9.7451 -1.8867
O -1.4026 -6.0333 -1.8436
O 7.6410 -12.5611 -0.9248
O -2.9411 -4.4899 0.1642
Ti 0.4963 -10.1435 -1.6079
O 2.3388 -15.9015 -2.3208
O -2.6878 -7.2831 0.3712
Ti 7.2545 -13.8578 -2.4050
Ti 1.9626 -16.0947 -0.2786
O -3.6907 -7.3275 -2.5699
O 5.8509 -6.5186 -0.3911
O -4.3478 -9.9787 -3.1933
Ti 3.4515 -17.6244 -2.4000
Ti 1.9876 -3.7939 -3.2160
Ti 3.5587 -5.4717 -5.1410
O 7.3790 -8.0363 -2.4172
O 5.9507 -9.6687 -4.4672
O 9.1209 -14.0107 -3.1016
O 0.8137 -14.3861 -0.3319
O 0.2893 -7.1203 0.2625
Ti -1.9382 -12.0767 0.2375
O 6.0980 -10.9251 1.0274
Na -0.5896 -12.6393 -5.0646
Ti 4.3782 -6.2421 -1.7541
O -0.7561 -12.7947 1.7104
O 3.1366 -5.5025 -3.1628
O 4.7063 -7.0939 -5.2051
O -5.1706 -5.8779 -0.3930
O -2.1477 -8.9635 -4.5221
O -3.4287 -11.8523 -1.0774
O 3.3620 -10.2270 -3.7714
Ti 4.1067 -10.7305 1.5858
Ti 0.4988 -2.2642 -1.0946
Ti 1.0942 -15.3130 -3.7557
O 5.0929 -10.9909 -1.8230
Ti 5.7290 -12.3024 -0.4272
Ti 0.3915 -14.4169 1.6464
Ti -0.1564 -9.1581 -5.0805
Ti 5.0827 -11.3685 -3.8105
O -1.1426 -8.8977 -1.6716
O -0.5887 -11.7338 -1.2057
O 9.8095 -11.4735 -2.3361
Na 2.9115 -13.3912 -1.4503
O 5.3528 -13.8553 -1.6510
O 2.1089 -11.2166 -1.7578
Na 6.1800 -8.9777 -0.6368
O 3.6609 -12.7683 -3.7572
```

Properties
energy with MP2020 corrections: -8.7156 eV per atom
ΔE_f: -3246 meV/atom
spin magnetization: 8.00 Bohr magnetons per cell

***

# 9
The following is a DFT calculation (GGA-PBE) of a relaxed CeSe2 crystal.

```
12
Lattice="-4.0820 0.5597 3.6440 -3.2688 -3.0637 -3.1911 4.2956 -11.4225 6.5663" Properties=species:S:1:pos:R:3 pbc="T T T"
Ce -3.6253 -7.6778 3.6388
Se -1.2208 -2.7509 1.8675
Se -1.9984 -6.6888 5.7525
Se 0.6420 -10.9479 8.3245
Se -2.2625 -10.0371 4.4972
Ce -1.5777 -0.5374 0.0972
Se -4.0840 -5.0105 2.7247
Ce -2.4269 -4.8853 0.4010
Se -2.7764 -2.6649 -1.3620
Ce -0.6282 -9.0412 6.6181
Se -1.9775 -7.5513 1.3234
Se 1.4570 -10.0545 4.9489
```

Properties
energy with MP2020 corrections: -6.1184 eV per atom
ΔE_f: -1810 meV/atom
spin magnetization: 0.00 Bohr magnetons per cell

***

# 10
The following is a DFT calculation (GGA-PBE) of a relaxed MgV2S4 crystal.

```
7
Lattice="1.8680 -3.0822 0.2145 -2.9448 -0.9238 12.3685 -3.5104 -0.0714 -0.8411" Properties=species:S:1:pos:R:3 pbc="T T T"
S -2.8505 -1.4304 4.2688
S -4.3643 -1.9053 10.6272
V -2.9127 -0.9137 12.2335
Mg -0.7629 -2.3415 3.3825
S -0.2157 -2.1699 1.0844
V -1.5459 -0.4850 6.4930
S -1.7082 -2.6381 7.3528
```

Properties
energy with MP2020 corrections: -6.3286 eV per atom
ΔE_f: -1141 meV/atom
energy above the most stable polymorph in this dataset: 0.1317 eV per atom
spin magnetization: 4.00 Bohr magnetons per cell

***

# 11
The following is a DFT calculation (GGA-PBE) of a relaxed RbTb2Cl7 crystal.

```
40
Lattice="-5.6316 0.9316 -4.0961 -0.8521 -12.5920 -1.6922 -8.0686 -0.9168 10.8847" Properties=species:S:1:pos:R:3 pbc="T T T"
Cl -9.7421 -8.5337 2.4151
Tb -7.7461 -4.7757 6.5510
Cl -1.5521 -7.3846 0.3199
Cl -12.8161 -8.5621 3.7442
Rb -2.4224 -9.9291 -1.9403
Cl -13.0002 -5.1926 4.7764
Cl -10.1142 -9.0090 5.7094
Cl -4.8103 -4.0435 2.6812
Cl -10.3102 -5.6376 6.7330
Rb -12.1299 -2.6482 7.0366
Tb -10.9994 -10.6073 3.6722
Cl -5.8122 -9.6192 -3.2347
Tb -3.7112 -5.7796 0.7752
Tb -6.8062 -7.8015 -1.4547
Cl -4.4381 -3.5682 -0.6132
Cl -6.2791 -6.6592 0.9860
Cl -1.7362 -4.0151 1.3521
Cl -5.8790 -12.1675 5.1811
Cl -5.5575 -6.3673 6.0856
Cl -8.3756 -2.5957 5.0215
Cl -8.7401 -2.9580 8.3310
Tb -10.8411 -6.7976 4.3211
Cl -8.8786 -9.5346 -1.8904
Cl -4.2421 -6.9396 -1.6367
Cl -5.6737 -3.0426 6.9867
Cl -3.8808 -0.1670 -0.6208
Rb -6.3646 -9.0264 3.6849
Tb -7.1651 -11.6339 -1.8328
Cl -6.1767 -9.9815 0.0748
Cl -13.3873 -11.9610 3.7417
Cl -1.1650 -0.6162 1.3546
Tb -3.5529 -1.9700 1.4241
Cl -8.5691 -11.7225 3.2245
Cl -10.6715 -12.4103 5.7171
Cl -8.6733 -0.4098 -0.0848
Tb -7.3872 -0.9433 6.9291
Rb -8.1877 -3.5508 1.4114
Cl -8.9948 -6.2099 -0.9893
Cl -5.9832 -0.8547 1.8718
Cl -8.2733 -5.9181 4.1103
```

Properties
energy with MP2020 corrections: -5.0095 eV per atom
ΔE_f: -2691 meV/atom

***

# 12
The following is a DFT calculation (GGA-PBE) of a relaxed Ba2Bi crystal.

```
6
Lattice="5.3821 0.0000 0.0000 0.0000 5.3821 0.0000 -2.6911 -2.6911 9.6693" Properties=species:S:1:pos:R:3 pbc="T T T"
Ba 2.6911 0.0000 0.0000
Ba 0.0000 0.0000 6.1944
Ba 2.6911 2.6911 3.4749
Bi 0.0000 0.0000 2.5933
Bi 2.6911 2.6911 7.0760
Ba 0.0000 2.6911 0.0000
```

Properties
ΔE_f: -772 meV/atom

***

What did the fourth record say?
The following is a DFT calculation (GGA-PBE) of a relaxed LiHfMg14O15 crystal.

```
31
Lattice="-0.4721 2.5486 -8.1975 5.2284 -6.3970 -2.2899 -3.3986 -2.5626 -0.6010" Properties=species:S:1:pos:R:3 pbc="T T T"
Mg 0.9034 0.3956 -6.7957
O 3.6557 -3.4861 -5.8082
O 0.9149 -4.4795 -1.4463
Mg 1.1386 -0.9240 -2.4986
O 2.2592 -1.2819 -7.3097
O -2.1709 1.2649 -8.4905
Mg -0.4316 -2.8310 -0.8616
O 0.8781 0.8966 -8.7887
Mg 0.5568 -2.5464 -7.6644
Mg 3.6060 -2.9110 -7.9793
Mg 3.8652 -4.2600 -3.6927
O 0.6762 -3.1908 -5.5913
Mg -1.8131 -0.6671 -2.2762
O 1.1001 -0.3593 -4.6890
Mg 2.0409 -4.8741 -6.1320
Li 0.0000 0.0001 -0.0005
O -0.7414 -0.9794 -7.0045
O 2.1266 -5.4669 -4.0882
O -0.3490 1.8839 -6.0598
Mg 0.7999 -3.8586 -3.4434
Mg -2.0573 0.6516 -6.5179
O -0.5340 -2.2117 -2.9229
O 1.8652 -4.1686 -8.1461
Mg 2.1425 -0.6519 -9.3359
Hf 2.3816 -1.9428 -5.1839
Mg -0.6822 -1.5423 -4.9393
O -0.1233 0.6656 -2.1410
Mg 2.2607 -6.1250 -2.0407
Mg -0.2361 1.2748 -4.1003
O -1.9358 -0.0045 -4.4073
O 3.4062 -2.1965 -9.8959
```

Properties
energy with MP2020 corrections: -6.3617 eV per atom
ΔE_f: -2862 meV/atom
energy above the most stable polymorph in this dataset: 0.0074 eV per atom
spin magnetization: 0.33 Bohr magnetons per cell